Here is a geometry-optimized LiAlSiH2O5 structure from Materials Project. Energies are from PBE.

```
LiAlSiH2O5
1.0
12.066 0.000 0.000
0.000 8.866 0.000
0.000 0.000 4.880
Li Al Si H O
4 4 4 8 20
Direct
0.118 0.078 0.000
0.382 0.578 0.500
0.618 0.422 0.000
0.882 0.922 0.500
0.225 0.680 0.035
0.275 0.180 0.535
0.725 0.820 0.035
0.775 0.320 0.535
0.204 0.369 0.759
0.296 0.869 0.259
0.704 0.131 0.759
0.796 0.631 0.259
0.072 0.824 0.649
0.079 0.875 0.342
0.421 0.375 0.842
0.428 0.324 0.149
0.572 0.676 0.649
0.579 0.625 0.342
0.921 0.125 0.842
0.928 0.176 0.149
0.036 0.889 0.517
0.140 0.280 0.505
0.166 0.520 0.911
0.169 0.875 0.087
0.240 0.209 0.924
0.260 0.709 0.424
0.331 0.375 0.587
0.334 0.020 0.411
0.360 0.780 0.005
0.464 0.389 0.017
0.536 0.611 0.517
0.640 0.220 0.505
0.666 0.980 0.911
0.669 0.625 0.087
0.740 0.291 0.924
0.760 0.791 0.424
0.831 0.125 0.587
0.834 0.480 0.411
0.860 0.720 0.005
0.964 0.111 0.017
```

## Properties
V	13.05	Å³/atom
calculated formation energy	-2.20	eV per atom
total energy	-6.118	eV per atom